No. 1
NdCoSi2 | PBE | relaxed

Cell lengths 4.165, 16.336, 4.070 Å; angles 90.00, 90.00, 90.00 degrees
Space group Cmcm (No. 63)
Unique sites:
Nd1 0.000 0.107 0.250 [4 per cell]
Co1 0.000 0.318 0.250 [4 per cell]
Si1 0.000 0.250 0.750 [4 per cell]
Si2 0.000 0.456 0.250 [4 per cell]



No. 2
Na7Hf2Al2Si3P3O24 | PBE | relaxed

Cell lengths 8.902, 8.931, 22.204 Å; angles 89.98, 89.73, 60.24 degrees
Space group P1 (No. 1)
Unique sites:
Na1 0.000 0.000 0.000 [1 per cell]
Na2 0.000 0.268 0.502 [1 per cell]
Na3 0.004 0.632 0.250 [1 per cell]
Na4 0.013 0.626 0.751 [1 per cell]
Na5 0.038 0.295 0.833 [1 per cell]
Na6 0.300 0.670 0.832 [1 per cell]
Na7 0.310 0.298 0.332 [1 per cell]
Na8 0.336 0.961 0.417 [1 per cell]
Na9 0.336 0.966 0.917 [1 per cell]
Na10 0.338 0.600 0.167 [1 per cell]
Na11 0.373 0.262 0.002 [1 per cell]
Na12 0.373 0.633 0.501 [1 per cell]
Na13 0.635 0.637 0.000 [1 per cell]
Na14 0.635 0.997 0.499 [1 per cell]
Na15 0.664 0.305 0.583 [1 per cell]
Na16 0.667 0.666 0.334 [1 per cell]
Na17 0.672 0.932 0.834 [1 per cell]
Na18 0.673 0.299 0.083 [1 per cell]
Na19 0.696 0.968 0.167 [1 per cell]
Na20 0.700 0.600 0.665 [1 per cell]
Na21 0.976 0.967 0.668 [1 per cell]
Hf1 0.009 0.623 0.605 [1 per cell]
Hf2 0.336 0.966 0.271 [1 per cell]
Hf3 0.668 0.297 0.730 [1 per cell]
Hf4 0.670 0.299 0.230 [1 per cell]
Hf5 0.998 0.643 0.398 [1 per cell]
Hf6 0.999 0.630 0.101 [1 per cell]
Al1 0.321 0.970 0.766 [1 per cell]
Al2 0.340 0.959 0.568 [1 per cell]
Al3 0.349 0.963 0.067 [1 per cell]
Al4 0.666 0.306 0.433 [1 per cell]
Al5 0.675 0.289 0.933 [1 per cell]
Al6 0.997 0.642 0.900 [1 per cell]
Si1 0.061 0.245 0.667 [1 per cell]
Si2 0.332 0.255 0.164 [1 per cell]
Si3 0.336 0.684 0.667 [1 per cell]
Si4 0.381 0.588 0.337 [1 per cell]
Si5 0.624 0.677 0.164 [1 per cell]
Si6 0.672 0.014 0.337 [1 per cell]
Si7 0.697 0.633 0.501 [1 per cell]
Si8 0.705 0.931 0.997 [1 per cell]
Si9 0.967 0.002 0.836 [1 per cell]
P1 0.001 0.340 0.996 [1 per cell]
P2 0.002 0.934 0.501 [1 per cell]
P3 0.052 0.968 0.162 [1 per cell]
P4 0.298 0.632 0.997 [1 per cell]
P5 0.303 0.332 0.500 [1 per cell]
P6 0.375 0.300 0.837 [1 per cell]
P7 0.612 0.969 0.667 [1 per cell]
P8 0.671 0.591 0.837 [1 per cell]
P9 0.956 0.297 0.337 [1 per cell]
O1 0.021 0.446 0.663 [1 per cell]
O2 0.032 0.804 0.158 [1 per cell]
O3 0.037 0.427 0.942 [1 per cell]
O4 0.039 0.809 0.447 [1 per cell]
O5 0.139 0.140 0.332 [1 per cell]
O6 0.140 0.990 0.106 [1 per cell]
O7 0.144 0.128 0.607 [1 per cell]
O8 0.159 0.671 0.662 [1 per cell]
O9 0.159 0.986 0.828 [1 per cell]
O10 0.162 0.159 0.005 [1 per cell]
O11 0.162 0.934 0.219 [1 per cell]
O12 0.166 0.950 0.507 [1 per cell]
O13 0.169 0.164 0.728 [1 per cell]
O14 0.172 0.454 0.160 [1 per cell]
O15 0.176 0.661 0.943 [1 per cell]
O16 0.185 0.415 0.444 [1 per cell]
O17 0.192 0.462 0.844 [1 per cell]
O18 0.193 0.597 0.340 [1 per cell]
O19 0.215 0.457 0.553 [1 per cell]
O20 0.220 0.594 0.054 [1 per cell]
O21 0.303 0.176 0.227 [1 per cell]
O22 0.307 0.799 0.727 [1 per cell]
O23 0.309 0.799 0.004 [1 per cell]
O24 0.316 0.154 0.508 [1 per cell]
O25 0.363 0.778 0.331 [1 per cell]
O26 0.364 0.133 0.829 [1 per cell]
O27 0.366 0.132 0.106 [1 per cell]
O28 0.371 0.767 0.607 [1 per cell]
O29 0.456 0.338 0.781 [1 per cell]
O30 0.463 0.473 0.275 [1 per cell]
O31 0.481 0.470 0.989 [1 per cell]
O32 0.483 0.316 0.494 [1 per cell]
O33 0.495 0.270 0.892 [1 per cell]
O34 0.496 0.996 0.332 [1 per cell]
O35 0.500 0.766 0.106 [1 per cell]
O36 0.505 0.498 0.394 [1 per cell]
O37 0.508 0.993 0.610 [1 per cell]
O38 0.509 0.491 0.673 [1 per cell]
O39 0.510 0.270 0.169 [1 per cell]
O40 0.510 0.811 0.509 [1 per cell]
O41 0.511 0.773 0.829 [1 per cell]
O42 0.513 0.946 0.006 [1 per cell]
O43 0.533 0.937 0.724 [1 per cell]
O44 0.543 0.793 0.225 [1 per cell]
O45 0.636 0.503 0.891 [1 per cell]
O46 0.641 0.137 0.395 [1 per cell]
O47 0.642 0.487 0.169 [1 per cell]
O48 0.643 0.126 0.672 [1 per cell]
O49 0.686 0.124 0.990 [1 per cell]
O50 0.687 0.455 0.493 [1 per cell]
O51 0.702 0.091 0.274 [1 per cell]
O52 0.704 0.477 0.779 [1 per cell]
O53 0.789 0.670 0.443 [1 per cell]
O54 0.799 0.807 0.661 [1 per cell]
O55 0.801 0.797 0.941 [1 per cell]
O56 0.813 0.666 0.160 [1 per cell]
O57 0.827 0.596 0.558 [1 per cell]
O58 0.830 0.848 0.057 [1 per cell]
O59 0.833 0.327 0.990 [1 per cell]
O60 0.835 0.815 0.339 [1 per cell]
O61 0.838 0.111 0.493 [1 per cell]
O62 0.839 0.604 0.843 [1 per cell]
O63 0.842 0.085 0.777 [1 per cell]
O64 0.845 0.333 0.281 [1 per cell]
O65 0.862 0.269 0.672 [1 per cell]
O66 0.868 0.124 0.168 [1 per cell]
O67 0.870 0.273 0.393 [1 per cell]
O68 0.871 0.135 0.892 [1 per cell]
O69 0.967 0.850 0.557 [1 per cell]
O70 0.968 0.457 0.052 [1 per cell]
O71 0.978 0.459 0.342 [1 per cell]
O72 0.986 0.808 0.844 [1 per cell]



Energy relative to the elements readings, ordered: -69; -292 kJ per mole of atoms
Calculated density readings, ordered: 6.221; 3.683 Mg/m³